Record 1
A relaxed structure of Ba3Ga3N5, computed with PBE.

a = 9.4806 Å, b = 9.4806 Å, c = 11.7833 Å
α = 107.72°, β = 107.72°, γ = 52.69°
With the nearest neighbours (Å) after each atom.
Element x y z (fractional)
Ba1 0.0812 0.3301 0.8369  5 N 2.75-3.00
Ba2 0.1547 0.8453 0.7500  6 N 2.75-2.93
Ba3 0.2211 0.4012 0.6154  4 N 2.71-2.87
Ba4 0.3301 0.0812 0.3369  5 N 2.75-3.00
Ba5 0.3384 0.6616 0.2500  8 N 2.92-3.15
Ba6 0.4012 0.2211 0.1154  4 N 2.71-2.87
Ba7 0.5988 0.7789 0.8846  4 N 2.71-2.87
Ba8 0.6616 0.3384 0.7500  8 N 2.92-3.15
Ba9 0.6699 0.9188 0.6631  5 N 2.75-3.00
Ba10 0.7789 0.5988 0.3846  4 N 2.71-2.87
Ba11 0.8453 0.1547 0.2500  6 N 2.75-2.93
Ba12 0.9188 0.6699 0.1631  5 N 2.75-3.00
Ga1 0.0113 0.1473 0.9982  4 N 1.94-2.09
Ga2 0.1473 0.0113 0.4982  4 N 1.94-2.09
Ga3 0.1472 0.6574 0.4505  4 N 2.00-2.03
Ga4 0.3426 0.8528 0.0495  4 N 2.00-2.03
Ga5 0.3556 0.4849 0.9429  4 N 1.94-2.08
Ga6 0.4849 0.3556 0.4429  4 N 1.94-2.08
Ga7 0.5151 0.6444 0.5571  4 N 1.94-2.08
Ga8 0.6444 0.5151 0.0571  4 N 1.94-2.08
Ga9 0.6574 0.1472 0.9505  4 N 2.00-2.03
Ga10 0.8528 0.3426 0.5495  4 N 2.00-2.03
Ga11 0.8527 0.9887 0.5018  4 N 1.94-2.09
Ga12 0.9887 0.8527 0.0018  4 N 1.94-2.09
N1 0.0287 0.8808 0.3826  3 Ga 2.00-2.09
N2 0.0478 0.2547 0.4603  2 Ga 2.00-2.04
N3 0.1192 0.9713 0.1174  3 Ga 2.00-2.09
N4 0.1318 0.5945 0.9978  2 Ga 1.94
N5 0.2507 0.4350 0.3262  2 Ga 2.01-2.03
N6 0.2547 0.0478 0.9603  2 Ga 2.00-2.04
N7 0.3688 0.5711 0.5793  3 Ga 1.99-2.08
N8 0.4055 0.8682 0.5022  2 Ga 1.94
N9 0.4289 0.6312 0.9207  3 Ga 1.99-2.08
N10 0.4350 0.2507 0.8262  2 Ga 2.01-2.03
N11 0.5650 0.7493 0.1738  2 Ga 2.01-2.03
N12 0.5711 0.3688 0.0793  3 Ga 1.99-2.08
N13 0.5945 0.1318 0.4978  2 Ga 1.94
N14 0.6312 0.4289 0.4207  3 Ga 1.99-2.08
N15 0.7453 0.9522 0.0397  2 Ga 2.00-2.04
N16 0.7493 0.5650 0.6738  2 Ga 2.01-2.03
N17 0.8682 0.4055 0.0022  2 Ga 1.94
N18 0.8808 0.0287 0.8826  3 Ga 2.00-2.09
N19 0.9522 0.7453 0.5397  2 Ga 2.00-2.04
N20 0.9713 0.1192 0.6174  3 Ga 2.00-2.09

Results
Space group: C2/c
Electronic total energy, eV per atom: -5.624
ΔH_f (0 K), eV per formula unit: -7.1
Size of the total moment, μB/f.u.: 0.000

---

Record 2
A relaxed structure of ScN, computed with PBE.

a = 4.5183 Å, b = 4.5183 Å, c = 4.5183 Å
α = 90.00°, β = 90.00°, γ = 90.00°
With the nearest neighbours (Å) after each atom.
Element x y z (fractional)
Sc1 0.0000 0.0000 0.0000  6 N 2.26
Sc2 0.0000 0.5000 0.5000  6 N 2.26
Sc3 0.5000 0.0000 0.5000  6 N 2.26
Sc4 0.5000 0.5000 0.0000  6 N 2.26
N1 0.0000 0.0000 0.5000  6 Sc 2.26
N2 0.0000 0.5000 0.0000  6 Sc 2.26
N3 0.5000 0.0000 0.0000  6 Sc 2.26
N4 0.5000 0.5000 0.5000  6 Sc 2.26

Results
Space group: Fm-3m
Electronic total energy, eV per atom: -9.247
ΔH_f (0 K), eV per formula unit: -4.2

---

Please write out number 1 again, unchanged.
A relaxed structure of Ba3Ga3N5, computed with PBE.

a = 9.4806 Å, b = 9.4806 Å, c = 11.7833 Å
α = 107.72°, β = 107.72°, γ = 52.69°
With the nearest neighbours (Å) after each atom.
Element x y z (fractional)
Ba1 0.0812 0.3301 0.8369  5 N 2.75-3.00
Ba2 0.1547 0.8453 0.7500  6 N 2.75-2.93
Ba3 0.2211 0.4012 0.6154  4 N 2.71-2.87
Ba4 0.3301 0.0812 0.3369  5 N 2.75-3.00
Ba5 0.3384 0.6616 0.2500  8 N 2.92-3.15
Ba6 0.4012 0.2211 0.1154  4 N 2.71-2.87
Ba7 0.5988 0.7789 0.8846  4 N 2.71-2.87
Ba8 0.6616 0.3384 0.7500  8 N 2.92-3.15
Ba9 0.6699 0.9188 0.6631  5 N 2.75-3.00
Ba10 0.7789 0.5988 0.3846  4 N 2.71-2.87
Ba11 0.8453 0.1547 0.2500  6 N 2.75-2.93
Ba12 0.9188 0.6699 0.1631  5 N 2.75-3.00
Ga1 0.0113 0.1473 0.9982  4 N 1.94-2.09
Ga2 0.1473 0.0113 0.4982  4 N 1.94-2.09
Ga3 0.1472 0.6574 0.4505  4 N 2.00-2.03
Ga4 0.3426 0.8528 0.0495  4 N 2.00-2.03
Ga5 0.3556 0.4849 0.9429  4 N 1.94-2.08
Ga6 0.4849 0.3556 0.4429  4 N 1.94-2.08
Ga7 0.5151 0.6444 0.5571  4 N 1.94-2.08
Ga8 0.6444 0.5151 0.0571  4 N 1.94-2.08
Ga9 0.6574 0.1472 0.9505  4 N 2.00-2.03
Ga10 0.8528 0.3426 0.5495  4 N 2.00-2.03
Ga11 0.8527 0.9887 0.5018  4 N 1.94-2.09
Ga12 0.9887 0.8527 0.0018  4 N 1.94-2.09
N1 0.0287 0.8808 0.3826  3 Ga 2.00-2.09
N2 0.0478 0.2547 0.4603  2 Ga 2.00-2.04
N3 0.1192 0.9713 0.1174  3 Ga 2.00-2.09
N4 0.1318 0.5945 0.9978  2 Ga 1.94
N5 0.2507 0.4350 0.3262  2 Ga 2.01-2.03
N6 0.2547 0.0478 0.9603  2 Ga 2.00-2.04
N7 0.3688 0.5711 0.5793  3 Ga 1.99-2.08
N8 0.4055 0.8682 0.5022  2 Ga 1.94
N9 0.4289 0.6312 0.9207  3 Ga 1.99-2.08
N10 0.4350 0.2507 0.8262  2 Ga 2.01-2.03
N11 0.5650 0.7493 0.1738  2 Ga 2.01-2.03
N12 0.5711 0.3688 0.0793  3 Ga 1.99-2.08
N13 0.5945 0.1318 0.4978  2 Ga 1.94
N14 0.6312 0.4289 0.4207  3 Ga 1.99-2.08
N15 0.7453 0.9522 0.0397  2 Ga 2.00-2.04
N16 0.7493 0.5650 0.6738  2 Ga 2.01-2.03
N17 0.8682 0.4055 0.0022  2 Ga 1.94
N18 0.8808 0.0287 0.8826  3 Ga 2.00-2.09
N19 0.9522 0.7453 0.5397  2 Ga 2.00-2.04
N20 0.9713 0.1192 0.6174  3 Ga 2.00-2.09

Results
Space group: C2/c
Electronic total energy, eV per atom: -5.624
ΔH_f (0 K), eV per formula unit: -7.1
Size of the total moment, μB/f.u.: 0.000